# 1
Na14Mg6Zr2Si5S7O48: relaxed, PBE.

```
Na14Mg6Zr2Si5S7O48
1.0
9.142 0.000 0.000
-0.037 15.821 0.000
-0.011 -0.005 22.382
Na Mg Zr Si S O
42 18 6 15 21 144
direct
0.000 0.000 0.000 Na
0.000 0.967 0.332 Na
0.113 0.464 0.839 Na
0.117 0.499 0.500 Na
0.131 0.819 0.831 Na
0.135 0.156 0.175 Na
0.147 0.784 0.163 Na
0.166 0.803 0.504 Na
0.178 0.485 0.163 Na
0.181 0.141 0.837 Na
0.303 0.992 0.417 Na
0.313 0.637 0.095 Na
0.314 0.641 0.587 Na
0.314 0.972 0.921 Na
0.317 0.301 0.755 Na
0.328 0.305 0.252 Na
0.437 0.151 0.319 Na
0.472 0.480 0.673 Na
0.482 0.134 0.007 Na
0.483 0.827 0.321 Na
0.492 0.796 0.685 Na
0.500 0.454 0.322 Na
0.501 0.145 0.674 Na
0.616 0.955 0.826 Na
0.617 0.639 0.168 Na
0.626 0.295 0.177 Na
0.627 0.328 0.838 Na
0.643 0.984 0.167 Na
0.645 0.621 0.506 Na
0.681 0.648 0.824 Na
0.791 0.804 0.759 Na
0.793 0.151 0.080 Na
0.799 0.801 0.249 Na
0.802 0.480 0.925 Na
0.803 0.141 0.597 Na
0.804 0.468 0.418 Na
0.935 0.638 0.329 Na
0.937 0.989 0.668 Na
0.938 0.303 0.005 Na
0.969 0.285 0.667 Na
0.980 0.651 0.682 Na
0.985 0.318 0.326 Na
0.301 0.643 0.435 Mg
0.308 0.642 0.228 Mg
0.312 0.304 0.395 Mg
0.314 0.983 0.263 Mg
0.314 0.988 0.573 Mg
0.316 0.648 0.738 Mg
0.321 0.304 0.913 Mg
0.322 0.979 0.070 Mg
0.324 0.976 0.765 Mg
0.794 0.473 0.261 Mg
0.794 0.479 0.069 Mg
0.799 0.478 0.570 Mg
0.799 0.482 0.765 Mg
0.802 0.151 0.236 Mg
0.805 0.804 0.896 Mg
0.806 0.143 0.730 Mg
0.808 0.804 0.406 Mg
0.812 0.147 0.939 Mg
0.299 0.647 0.933 Zr
0.318 0.303 0.605 Zr
0.324 0.304 0.099 Zr
0.798 0.803 0.105 Zr
0.805 0.805 0.603 Zr
0.817 0.148 0.434 Zr
0.007 0.640 0.828 Si
0.109 0.140 0.329 Si
0.158 0.119 0.671 Si
0.159 0.155 0.998 Si
0.447 0.832 0.171 Si
0.457 0.797 0.832 Si
0.467 0.124 0.167 Si
0.508 0.475 0.169 Si
0.605 0.975 0.668 Si
0.620 0.314 0.994 Si
0.648 0.623 0.666 Si
0.660 0.297 0.332 Si
0.669 0.332 0.670 Si
0.954 0.617 0.170 Si
0.961 0.656 0.498 Si
0.013 0.975 0.167 S
0.017 0.310 0.499 S
0.099 0.810 0.999 S
0.104 0.475 0.666 S
0.157 0.790 0.336 S
0.161 0.458 0.999 S
0.162 0.497 0.336 S
0.163 0.829 0.665 S
0.450 0.493 0.833 S
0.453 0.456 0.497 S
0.456 0.158 0.498 S
0.508 0.811 0.497 S
0.518 0.143 0.835 S
0.597 0.647 0.338 S
0.660 0.659 0.998 S
0.663 0.954 0.997 S
0.665 0.991 0.336 S
0.953 0.997 0.835 S
0.956 0.329 0.167 S
0.959 0.290 0.833 S
0.960 0.957 0.499 S
0.001 0.488 0.331 O
0.002 0.467 0.002 O
0.005 0.150 0.271 O
0.005 0.816 0.946 O
0.007 0.802 0.055 O
0.014 0.460 0.720 O
0.015 0.487 0.611 O
0.102 0.959 0.221 O
0.103 0.986 0.113 O
0.109 0.303 0.555 O
0.110 0.652 0.770 O
0.112 0.317 0.446 O
0.115 0.989 0.831 O
0.120 0.321 0.164 O
0.122 0.960 0.501 O
0.123 0.302 0.837 O
0.125 0.626 0.886 O
0.129 0.638 0.176 O
0.142 0.650 0.497 O
0.178 0.060 0.614 O
0.187 0.737 0.283 O
0.190 0.887 0.003 O
0.191 0.218 0.057 O
0.192 0.732 0.998 O
0.193 0.548 0.391 O
0.193 0.880 0.719 O
0.197 0.407 0.944 O
0.201 0.398 0.660 O
0.202 0.549 0.671 O
0.205 0.226 0.338 O
0.210 0.054 0.330 O
0.217 0.750 0.391 O
0.219 0.416 0.053 O
0.219 0.869 0.609 O
0.223 0.743 0.668 O
0.225 0.875 0.331 O
0.227 0.411 0.341 O
0.228 0.538 0.283 O
0.230 0.200 0.939 O
0.234 0.543 0.997 O
0.236 0.061 0.006 O
0.236 0.218 0.660 O
0.243 0.086 0.731 O
0.365 0.877 0.116 O
0.368 0.887 0.833 O
0.376 0.409 0.838 O
0.382 0.740 0.888 O
0.385 0.074 0.502 O
0.388 0.220 0.163 O
0.388 0.543 0.494 O
0.389 0.417 0.553 O
0.390 0.086 0.227 O
0.393 0.393 0.160 O
0.394 0.534 0.778 O
0.394 0.734 0.177 O
0.401 0.203 0.446 O
0.401 0.557 0.176 O
0.404 0.881 0.503 O
0.409 0.406 0.445 O
0.415 0.547 0.886 O
0.422 0.066 0.833 O
0.422 0.221 0.836 O
0.424 0.209 0.554 O
0.424 0.729 0.494 O
0.434 0.739 0.773 O
0.438 0.888 0.232 O
0.439 0.068 0.108 O
0.471 0.634 0.672 O
0.483 0.325 0.658 O
0.484 0.309 0.342 O
0.497 0.650 0.996 O
0.500 0.989 0.611 O
0.503 0.961 0.001 O
0.503 0.982 0.336 O
0.504 0.301 0.052 O
0.505 0.640 0.392 O
0.505 0.654 0.284 O
0.516 0.949 0.729 O
0.521 0.326 0.935 O
0.597 0.451 0.230 O
0.600 0.823 0.443 O
0.605 0.801 0.551 O
0.609 0.150 0.780 O
0.611 0.137 0.888 O
0.611 0.485 0.833 O
0.614 0.463 0.501 O
0.617 0.492 0.115 O
0.618 0.148 0.496 O
0.633 0.808 0.841 O
0.633 0.826 0.160 O
0.646 0.136 0.173 O
0.676 0.389 0.731 O
0.677 0.569 0.605 O
0.683 0.238 0.274 O
0.690 0.712 0.053 O
0.690 0.726 0.340 O
0.693 0.571 0.336 O
0.701 0.046 0.389 O
0.704 0.902 0.945 O
0.707 0.222 0.995 O
0.711 0.057 0.675 O
0.714 0.706 0.945 O
0.721 0.234 0.676 O
0.721 0.893 0.658 O
0.724 0.720 0.660 O
0.726 0.028 0.281 O
0.727 0.914 0.053 O
0.731 0.039 0.994 O
0.731 0.578 0.002 O
0.732 0.586 0.724 O
0.734 0.905 0.343 O
0.735 0.391 0.005 O
0.736 0.241 0.389 O
0.748 0.387 0.333 O
0.750 0.376 0.614 O
0.873 0.586 0.232 O
0.878 0.717 0.160 O
0.886 0.701 0.440 O
0.888 0.561 0.505 O
0.889 0.036 0.781 O
0.889 0.910 0.841 O
0.890 0.375 0.829 O
0.893 0.242 0.171 O
0.894 0.042 0.497 O
0.897 0.369 0.113 O
0.900 0.249 0.887 O
0.901 0.914 0.553 O
0.905 0.554 0.829 O
0.911 0.726 0.838 O
0.915 0.049 0.173 O
0.916 0.897 0.161 O
0.920 0.906 0.445 O
0.921 0.049 0.889 O
0.924 0.232 0.498 O
0.925 0.378 0.222 O
0.926 0.387 0.503 O
0.926 0.556 0.115 O
0.926 0.720 0.556 O
0.929 0.238 0.780 O
0.980 0.145 0.997 O
0.985 0.139 0.678 O
0.993 0.125 0.387 O
0.993 0.801 0.340 O
0.997 0.822 0.662 O
```

Output
SG = P1, No. 1

=====

# 2
LiNdS2: relaxed, PBE.

```
LiNdS2
1.0
4.052 0.000 0.000
0.000 4.052 0.000
0.000 0.000 5.508
Li Nd S
1 1 2
direct
0.000 0.000 0.000 Li
0.500 0.500 0.500 Nd
0.000 0.000 0.500 S
0.500 0.500 0.000 S
```

Output
SG = P4/mmm, No. 123

=====

So what do the calculations give for size of the total moment? Going down the list: 0.00 0.00 μB/cell.
So what do the calculations give for DFT total energy? Going down the list: -1546.43 -21.79 eV for the cell shown.